TmMnSn2 | PBE-GGA | relaxed

It has space group Pbam (No. 55), with a = 10.322 Å, b = 11.319 Å, c = 8.980 Å, α = 90.00°, β = 90.00° and γ = 90.00°. Symmetry generates all atoms from Tm at (0.164, 0.180, 0.000), Tm at (0.169, 0.454, 0.243), Mn at (0.000, 0.000, 0.244), Mn at (0.088, 0.757, 0.247), Sn at (0.041, 0.624, 0.000), Sn at (0.045, 0.626, 0.500), Sn at (0.128, 0.908, 0.500), Sn at (0.131, 0.901, 0.000) and Sn at (0.163, 0.182, 0.337).

As for the formation energy: -0.3499 eV per atom.

TmMn6Sn6 | PBE-GGA | relaxed

It has space group P6/mmm (No. 191), with a = 5.4429 Å, b = 5.4429 Å, c = 8.9852 Å, α = 90.00°, β = 90.00° and γ = 120.00°. Symmetry generates all atoms from Tm at (0.0000, 0.0000, 0.0000), Mn at (0.0000, 0.5000, 0.2480), Sn at (0.0000, 0.0000, 0.3323), Sn at (0.3333, 0.6667, 0.0000) and Sn at (0.3333, 0.6667, 0.5000).

As for the formation energy: -0.1346 eV per atom.

Mn2SnW | PBE-GGA | relaxed

It has space group Fm-3m (No. 225), with a = 6.101 Å, b = 6.101 Å, c = 6.101 Å, α = 90.00°, β = 90.00° and γ = 90.00°. Symmetry generates all atoms from Mn at (0.250, 0.250, 0.250), Sn at (0.000, 0.000, 0.000) and W at (0.000, 0.000, 0.500).

As for the formation energy: 0.1639 eV per atom.

YMn6Sn6 | PBE-GGA | relaxed

It has space group P6/mmm (No. 191), with a = 5.4602 Å, b = 5.4602 Å, c = 9.0066 Å, α = 90.00°, β = 90.00° and γ = 120.00°. Symmetry generates all atoms from Y at (0.0000, 0.0000, 0.0000), Mn at (0.0000, 0.5000, 0.2485), Sn at (0.0000, 0.0000, 0.3336), Sn at (0.3333, 0.6667, 0.0000) and Sn at (0.3333, 0.6667, 0.5000).

As for the formation energy: -0.1420 eV per atom.

SrTa2Mn | PBE-GGA | relaxed

It has space group Fm-3m (No. 225), with a = 6.688 Å, b = 6.688 Å, c = 6.688 Å, α = 90.00°, β = 90.00° and γ = 90.00°. Symmetry generates all atoms from Sr at (0.000, 0.000, 0.000), Ta at (0.250, 0.250, 0.250) and Mn at (0.000, 0.000, 0.500).

As for the formation energy: 1.1330 eV per atom.

Sr2UMn | PBE-GGA | relaxed

It has space group Fm-3m (No. 225), with a = 8.171 Å, b = 8.171 Å, c = 8.171 Å, α = 90.00°, β = 90.00° and γ = 90.00°. Symmetry generates all atoms from Sr at (0.250, 0.250, 0.250), U at (0.000, 0.000, 0.000) and Mn at (0.000, 0.000, 0.500).

As for the formation energy: 1.0969 eV per atom.